Record 1
! MgMnNiP2O9 | the Materials Project | GGA+U | relaxed; values from VASP
&SYSTEM
  ibrav = 0, nat = 56, ntyp = 5
/
ATOMIC_SPECIES
Mg 24.30 Mg.upf
Mn 54.94 Mn.upf
Ni 58.69 Ni.upf
P 30.97 P.upf
O 16.00 O.upf
CELL_PARAMETERS angstrom
14.2164 0.0000 0.0000
0.0000 6.2164 0.0000
0.0000 0.0000 7.2255
ATOMIC_POSITIONS angstrom
Mg 3.1425 1.5541 0.8557
Mg 3.9657 4.6623 4.4685
Mg 10.2507 1.5541 2.7570
Mg 11.0739 4.6623 6.3698
Mn 1.7076 1.5541 4.6822
Mn 5.4006 4.6623 1.0695
Mn 8.8158 1.5541 6.1560
Mn 12.5088 4.6623 2.5433
Ni 0.0000 0.0000 0.0000
Ni 0.0000 3.1082 0.0000
Ni 7.1082 0.0000 3.6127
Ni 7.1082 3.1082 3.6127
P 0.9446 4.6623 4.6199
P 2.8077 4.6623 0.7742
P 4.3005 1.5541 4.3870
P 6.1636 1.5541 1.0072
P 8.0527 4.6623 6.2183
P 9.9159 4.6623 2.8385
P 11.4087 1.5541 6.4513
P 13.2718 1.5541 2.6055
O 0.0892 1.5541 3.7030
O 0.2782 4.6623 5.9982
O 0.7713 1.5541 6.1940
O 1.9737 3.4886 4.5186
O 1.9737 5.8361 4.5186
O 2.0114 3.3407 0.7943
O 2.0114 5.9840 0.7943
O 3.2413 1.5541 3.2307
O 3.3605 1.5541 5.6797
O 3.7477 4.6623 2.0670
O 3.8669 4.6623 6.8434
O 5.0968 0.2325 4.4070
O 5.0968 2.8757 4.4070
O 5.1345 0.3804 0.9058
O 5.1345 2.7279 0.9058
O 6.3369 4.6623 2.5812
O 6.8300 1.5541 2.3855
O 7.0190 4.6623 0.0903
O 7.1974 1.5541 7.1352
O 7.3864 4.6623 4.8400
O 7.8795 1.5541 4.6442
O 9.0819 3.4886 6.3196
O 9.0819 5.8361 6.3196
O 9.1196 3.3407 2.8185
O 9.1196 5.9840 2.8185
O 10.3494 1.5541 0.3820
O 10.4687 1.5541 5.1585
O 10.8558 4.6623 1.5458
O 10.9751 4.6623 3.9948
O 12.2050 0.2325 6.4312
O 12.2050 2.8757 6.4312
O 12.2427 0.3804 2.7069
O 12.2427 2.7279 2.7069
O 13.4451 4.6623 1.0315
O 13.9382 1.5541 1.2272
O 14.1272 4.6623 3.5225
! - M_tot: 5.00 μB/f.u.
! - Crystal system: orthorhombic


Record 2
! Mg2Mn3O8 | the Materials Project | GGA+U | relaxed; values from VASP
&SYSTEM
  ibrav = 0, nat = 26, ntyp = 3
/
ATOMIC_SPECIES
Mg 24.30 Mg.upf
Mn 54.94 Mn.upf
O 16.00 O.upf
CELL_PARAMETERS angstrom
5.8491 0.0000 0.0000
-2.9246 5.0655 0.0000
0.0000 0.0000 9.3913
ATOMIC_POSITIONS angstrom
Mg 0.0000 3.3770 0.0000
Mg 0.0000 3.3770 3.6964
Mg 2.9246 1.6885 4.6957
Mg 2.9246 1.6885 8.3921
Mn 0.0000 1.6667 6.7648
Mn -1.4812 4.2321 6.7648
Mn 1.4434 0.8334 2.0691
Mn 1.4811 4.2321 6.7648
Mn 4.4057 0.8334 2.0691
Mn 2.9246 3.3988 2.0691
O 0.0000 0.0000 3.0598
O 0.0000 0.0000 7.7555
O -1.2987 2.6272 7.8796
O 0.0000 1.6213 1.1192
O -1.5205 4.2548 1.1192
O 1.4041 0.8107 5.8148
O 0.0000 3.3770 5.7401
O 1.2987 2.6272 7.8796
O 0.0000 4.8766 7.8796
O 2.9246 0.1889 3.1839
O 1.6259 2.4383 3.1839
O 2.9246 1.6885 1.0444
O 1.5205 4.2548 1.1192
O 4.4450 0.8107 5.8148
O 2.9246 3.4442 5.8148
O 4.2233 2.4383 3.1839
! - Crystal system: hexagonal
! - Relative energy among the computed polymorphs: 1.2 kJ/mol of atoms


Record 3
! Mg11Mn2O13 | the Materials Project | GGA+U | relaxed; values from VASP
&SYSTEM
  ibrav = 0, nat = 52, ntyp = 3
/
ATOMIC_SPECIES
Mg 24.30 Mg.upf
O 16.00 O.upf
Mn 54.94 Mn.upf
CELL_PARAMETERS angstrom
-2.4952 -3.3413 -3.2172
7.8063 -14.8613 10.8216
-4.9983 -0.5516 1.5664
ATOMIC_POSITIONS angstrom
Mg 1.9840 -13.0629 10.5863
O 4.3257 -11.2506 6.8946
Mg -1.3090 -8.8996 4.5052
O -1.0508 -3.3194 1.3859
Mg -2.0791 -1.4740 1.7018
O 1.3715 -15.4575 7.8021
Mg 1.1451 -15.8990 9.8712
Mg 2.4378 -6.9532 5.3306
Mg -0.4619 -6.0866 5.2380
O -1.8715 -0.9787 -0.4085
O -1.8902 -6.1542 0.6698
O 3.4553 -8.7679 4.9913
Mg -0.0190 -5.1750 1.0780
Mg 0.7897 -7.4814 2.8462
Mg 1.1821 -10.7755 8.8327
Mg -1.2705 -3.7802 3.4698
O -3.1418 -4.7594 3.0616
O -0.2404 -5.6308 3.1580
Mg 0.8281 -2.3620 1.8108
O 2.6422 -11.6778 4.3327
O 2.9997 -14.8724 10.2430
O -2.3373 -7.0538 4.8207
O -4.7976 -5.2658 0.5605
O 5.1183 -13.5110 8.6276
Mg -0.8275 -2.8688 -0.6900
O 4.2513 -16.2672 7.8512
Mg 1.6330 -4.6576 3.5707
Mg 0.3431 -13.6116 8.1176
O -1.0858 -8.4487 2.4289
O 2.2072 -12.6119 8.5100
O -0.2914 -10.7143 4.1658
Mg 3.2356 -14.4577 8.1945
Mg -2.1138 -6.6040 2.7453
Mg 2.4336 -12.1704 6.4409
Mg -2.9186 -4.3084 0.9854
Mn -0.4817 -11.2591 6.3140
O 0.5790 -13.1970 6.0691
O 0.5700 -7.9423 4.9300
O -5.6182 -2.9251 -1.2340
O 1.3906 -10.2829 6.7245
O -3.1768 -9.8887 4.1046
O 3.4587 -14.0068 6.1182
O -3.9872 -7.5772 2.3325
O -2.6846 -3.8886 -1.0671
Mg 4.8918 -13.9526 10.6966
O -3.9361 -2.4937 1.3247
Mg 0.3467 -8.3928 7.0060
Mn -3.7459 -1.9490 -0.8235
Mg 1.5982 -9.7876 4.6142
Mn 0.0009 -0.0025 0.0019
Mg 4.0898 -11.6652 8.9430
Mn 3.2650 -9.3126 7.1395
! - M_tot: 0.00 μB/f.u.


no.,formation energy (meV per atom)
1,-2377
2,-2237
3,-2877